Density functional theory data (PBE) for a geometry-optimized ErCl3 structure.

extended XYZ file:
```
8
Lattice="9.7390 0.0000 0.0000 -4.8695 8.4343 0.0000 0.0000 0.0000 3.5514" Properties=species:S:1:pos:R:3 pbc="T T T"
Er 0.0000 5.6228 0.8879
Er 4.8695 2.8114 2.6636
Cl 0.0000 3.6657 2.6636
Cl -1.6949 6.6014 2.6636
Cl 3.1746 1.8328 0.8879
Cl 1.6949 6.6014 2.6636
Cl 6.5645 1.8328 0.8879
Cl 4.8695 4.7686 0.8879
```

- VASP energy (eV/atom) = -4.74
- ΔH_f (0 K) (eV/atom) = -2.67